Entry 1:
# ZrCrCuS4 (PBE, optimized geometry)
# Energy of formation from the pure elements, eV per formula unit: -7.36
# Energy relative to the lowest polymorph listed for this composition, eV per atom: 0.206
# Crystal system: orthorhombic
# E_tot, Ha/atom: -0.2320
data_ZrCrCuS4
_chemical_formula_sum 'Zr4 Cr4 Cu4 S16'
_cell_length_a 3.568
_cell_length_b 11.246
_cell_length_c 12.846
_cell_angle_alpha 90.00
_cell_angle_beta 90.00
_cell_angle_gamma 90.00
_space_group_name_H-M_alt 'P m n 21'
_space_group_IT_number 31
_space_group_name_Hall 'P 2ac -2'
loop_
_atom_site_label
_atom_site_type_symbol
_atom_site_fract_x
_atom_site_fract_y
_atom_site_fract_z
Zr1 Zr 0.000 0.167 0.000
Zr2 Zr 0.000 0.200 0.532
Cr1 Cr 0.000 0.652 0.325
Cr2 Cr 0.000 0.689 0.801
Cu1 Cu 0.000 0.014 0.776
Cu2 Cu 0.000 0.470 0.590
S1 S 0.000 0.161 0.337
S2 S 0.000 0.315 0.706
S3 S 0.000 0.381 0.946
S4 S 0.000 0.447 0.258
S5 S 0.000 0.646 0.983
S6 S 0.000 0.775 0.627
S7 S 0.000 0.872 0.355
S8 S 0.000 0.952 0.094

Entry 2:
# Hf4TiPb5O15 (PBE, optimized geometry)
# Energy of formation from the pure elements, eV per formula unit: -73.24
# Energy relative to the lowest polymorph listed for this composition, eV per atom: 0.000
# Crystal system: triclinic
# E_tot, Ha/atom: -0.2990
data_Hf4TiPb5O15
_chemical_formula_sum 'Hf8 Ti2 Pb10 O30'
_cell_length_a 5.872
_cell_length_b 10.084
_cell_length_c 13.046
_cell_angle_alpha 75.07
_cell_angle_beta 77.65
_cell_angle_gamma 73.39
_space_group_name_H-M_alt 'P 1'
_space_group_IT_number 1
_space_group_name_Hall 'P 1'
loop_
_atom_site_label
_atom_site_type_symbol
_atom_site_fract_x
_atom_site_fract_y
_atom_site_fract_z
Hf1 Hf 0.000 0.000 0.000
Hf2 Hf 0.000 0.500 0.500
Hf3 Hf 0.199 0.402 0.199
Hf4 Hf 0.200 0.903 0.699
Hf5 Hf 0.400 0.300 0.898
Hf6 Hf 0.400 0.800 0.398
Hf7 Hf 0.797 0.602 0.800
Hf8 Hf 0.798 0.102 0.300
Ti1 Ti 0.608 0.200 0.598
Ti2 Ti 0.608 0.701 0.097
Pb1 Pb 0.056 0.246 0.734
Pb2 Pb 0.056 0.746 0.234
Pb3 Pb 0.247 0.148 0.441
Pb4 Pb 0.247 0.648 0.942
Pb5 Pb 0.446 0.042 0.137
Pb6 Pb 0.446 0.542 0.637
Pb7 Pb 0.643 0.451 0.336
Pb8 Pb 0.643 0.950 0.836
Pb9 Pb 0.845 0.350 0.037
Pb10 Pb 0.845 0.849 0.538
O1 O 0.057 0.472 0.347
O2 O 0.066 0.936 0.355
O3 O 0.069 0.934 0.859
O4 O 0.079 0.462 0.867
O5 O 0.157 0.164 0.944
O6 O 0.183 0.652 0.470
O7 O 0.258 0.873 0.546
O8 O 0.271 0.334 0.059
O9 O 0.272 0.333 0.554
O10 O 0.284 0.858 0.067
O11 O 0.360 0.569 0.143
O12 O 0.384 0.056 0.668
O13 O 0.462 0.270 0.744
O14 O 0.466 0.738 0.755
O15 O 0.474 0.733 0.256
O16 O 0.479 0.263 0.267
O17 O 0.556 0.967 0.345
O18 O 0.582 0.454 0.871
O19 O 0.658 0.672 0.954
O20 O 0.666 0.133 0.955
O21 O 0.669 0.137 0.466
O22 O 0.679 0.658 0.468
O23 O 0.751 0.358 0.547
O24 O 0.774 0.846 0.070
O25 O 0.856 0.544 0.151
O26 O 0.859 0.070 0.148
O27 O 0.867 0.068 0.663
O28 O 0.872 0.532 0.660
O29 O 0.955 0.768 0.744
O30 O 0.980 0.256 0.269

Entry 3:
# XeF6 (PBE, optimized geometry)
# Energy of formation from the pure elements, eV per formula unit: -5.55
# Energy relative to the lowest polymorph listed for this composition, eV per atom: 0.000
# Crystal system: monoclinic
# E_tot, Ha/atom: -0.0751
data_XeF6
_chemical_formula_sum 'Xe16 F96'
_cell_length_a 15.153
_cell_length_b 8.886
_cell_length_c 15.267
_cell_angle_alpha 90.00
_cell_angle_beta 110.48
_cell_angle_gamma 90.00
_space_group_name_H-M_alt 'P 1 21/c 1'
_space_group_IT_number 14
_space_group_name_Hall '-P 2ybc'
loop_
_atom_site_label
_atom_site_type_symbol
_atom_site_fract_x
_atom_site_fract_y
_atom_site_fract_z
Xe1 Xe 0.094 0.132 0.206
Xe2 Xe 0.208 0.016 0.596
Xe3 Xe 0.311 0.002 0.893
Xe4 Xe 0.391 0.090 0.300
F1 F 0.027 0.199 0.619
F2 F 0.039 0.569 0.327
F3 F 0.065 0.245 0.305
F4 F 0.087 0.506 0.600
F5 F 0.099 0.615 0.092
F6 F 0.112 0.554 0.784
F7 F 0.121 0.110 0.479
F8 F 0.196 0.038 0.751
F9 F 0.202 0.238 0.137
F10 F 0.209 0.078 0.935
F11 F 0.218 0.633 0.003
F12 F 0.241 0.158 0.316
F13 F 0.244 0.695 0.362
F14 F 0.291 0.554 0.721
F15 F 0.303 0.628 0.181
F16 F 0.317 0.107 0.571
F17 F 0.355 0.593 0.519
F18 F 0.369 0.157 0.792
F19 F 0.391 0.170 0.971
F20 F 0.394 0.505 0.921
F21 F 0.414 0.140 0.183
F22 F 0.422 0.608 0.382
F23 F 0.470 0.587 0.798
F24 F 0.482 0.673 0.127

Entry 4:
# BeSiO3 (PBE, optimized geometry)
# Energy of formation from the pure elements, eV per formula unit: -9.80
# Crystal system: cubic
# E_tot, Ha/atom: -0.2333
data_BeSiO3
_chemical_formula_sum 'Be1 Si1 O3'
_cell_length_a 3.477
_cell_length_b 3.477
_cell_length_c 3.477
_cell_angle_alpha 90.00
_cell_angle_beta 90.00
_cell_angle_gamma 90.00
_space_group_name_H-M_alt 'P m -3 m'
_space_group_IT_number 221
_space_group_name_Hall '-P 4 2 3'
loop_
_atom_site_label
_atom_site_type_symbol
_atom_site_fract_x
_atom_site_fract_y
_atom_site_fract_z
Be1 Be 0.000 0.000 0.000
Si1 Si 0.500 0.500 0.500
O1 O 0.000 0.500 0.500

Entry 5:
# BaH4O6 (PBE, optimized geometry)
# Energy of formation from the pure elements, eV per formula unit: -14.12
# Energy relative to the lowest polymorph listed for this composition, eV per atom: 0.074
# Crystal system: triclinic
# E_tot, Ha/atom: -0.1843
data_BaH4O6
_chemical_formula_sum 'Ba2 H8 O12'
_cell_length_a 6.378
_cell_length_b 6.712
_cell_length_c 6.797
_cell_angle_alpha 100.49
_cell_angle_beta 100.71
_cell_angle_gamma 93.65
_space_group_name_H-M_alt 'P 1'
_space_group_IT_number 1
_space_group_name_Hall 'P 1'
loop_
_atom_site_label
_atom_site_type_symbol
_atom_site_fract_x
_atom_site_fract_y
_atom_site_fract_z
Ba1 Ba 0.000 0.000 0.000
Ba2 Ba 0.305 0.590 0.455
H1 H 0.019 0.520 0.934
H2 H 0.146 0.071 0.474
H3 H 0.444 0.166 0.281
H4 H 0.465 0.142 0.906
H5 H 0.495 0.805 0.034
H6 H 0.714 0.782 0.505
H7 H 0.771 0.566 0.184
H8 H 0.919 0.933 0.415
O1 O 0.037 0.589 0.080
O2 O 0.061 0.298 0.747
O3 O 0.073 0.939 0.398
O4 O 0.260 0.295 0.717
O5 O 0.324 0.239 0.233
O6 O 0.407 0.855 0.905
O7 O 0.552 0.026 0.884
O8 O 0.607 0.713 0.201
O9 O 0.661 0.870 0.393
O10 O 0.771 0.692 0.681
O11 O 0.890 0.464 0.164
O12 O 0.981 0.647 0.692

Entry 6:
# MgAl2 (PBE, optimized geometry)
# Energy of formation from the pure elements, eV per formula unit: 1.98
# Crystal system: tetragonal
# E_tot, Ha/atom: -0.0872
data_MgAl2
_chemical_formula_sum 'Mg2 Al4'
_cell_length_a 5.549
_cell_length_b 5.549
_cell_length_c 5.087
_cell_angle_alpha 90.00
_cell_angle_beta 90.00
_cell_angle_gamma 90.00
_space_group_name_H-M_alt 'P 42/m n m'
_space_group_IT_number 136
_space_group_name_Hall '-P 4n 2n'
loop_
_atom_site_label
_atom_site_type_symbol
_atom_site_fract_x
_atom_site_fract_y
_atom_site_fract_z
Mg1 Mg 0.000 0.000 0.000
Al1 Al 0.164 0.164 0.500

Entry 7:
# Na2P4Pd3O14 (PBE, optimized geometry)
# Energy of formation from the pure elements, eV per formula unit: -49.18
# Crystal system: tetragonal
# E_tot, Ha/atom: -0.2376
data_Na2P4Pd3O14
_chemical_formula_sum 'Na8 P16 Pd12 O56'
_cell_length_a 9.695
_cell_length_b 9.695
_cell_length_c 13.601
_cell_angle_alpha 90.00
_cell_angle_beta 90.00
_cell_angle_gamma 90.00
_space_group_name_H-M_alt 'P 4/m n c'
_space_group_IT_number 128
_space_group_name_Hall '-P 4 2n'
loop_
_atom_site_label
_atom_site_type_symbol
_atom_site_fract_x
_atom_site_fract_y
_atom_site_fract_z
Na1 Na 0.114 0.386 0.250
P1 P 0.152 0.730 0.105
Pd1 Pd 0.000 0.000 0.183
Pd2 Pd 0.059 0.316 0.500
O1 O 0.064 0.797 0.186
O2 O 0.072 0.631 0.387
O3 O 0.092 0.780 0.000
O4 O 0.196 0.276 0.390

Entry 8:
# Ca3SiO5 (PBE, optimized geometry)
# Energy of formation from the pure elements, eV per formula unit: -30.39
# Energy relative to the lowest polymorph listed for this composition, eV per atom: 0.042
# Crystal system: trigonal
# E_tot, Ha/atom: -0.2578
data_Ca3SiO5
_chemical_formula_sum 'Ca27 Si9 O45'
_cell_length_a 7.0898
_cell_length_b 7.0898
_cell_length_c 25.8095
_cell_angle_alpha 90.00
_cell_angle_beta 90.00
_cell_angle_gamma 120.00
_space_group_name_H-M_alt 'R 3 m'
_space_group_IT_number 160
_space_group_name_Hall 'R 3 -2"'
loop_
_atom_site_label
_atom_site_type_symbol
_atom_site_fract_x
_atom_site_fract_y
_atom_site_fract_z
Ca1 Ca 0.0173 0.5087 0.0000
Ca2 Ca 0.1748 0.3496 0.1122
Ca3 Ca 0.1748 0.3497 0.8796
Si1 Si 0.0000 0.0000 0.5603
Si2 Si 0.0000 0.0000 0.7814
Si3 Si 0.0000 0.0000 0.9941
O1 O 0.0000 0.0000 0.1474
O2 O 0.0000 0.0000 0.2746
O3 O 0.0000 0.0000 0.3990
O4 O 0.0000 0.0000 0.6237
O5 O 0.0000 0.0000 0.7186
O6 O 0.0000 0.0000 0.9289
O7 O 0.0818 0.5409 0.6832
O8 O 0.2060 0.4120 0.2075
O9 O 0.2082 0.4164 0.4714

Entry 9:
# YCo10Mo2 (PBE, optimized geometry)
# Energy of formation from the pure elements, eV per formula unit: -0.38
# Crystal system: orthorhombic
# E_tot, Ha/atom: -0.2816
data_YCo10Mo2
_chemical_formula_sum 'Y2 Co20 Mo4'
_cell_length_a 4.677
_cell_length_b 8.443
_cell_length_c 8.452
_cell_angle_alpha 90.00
_cell_angle_beta 90.00
_cell_angle_gamma 90.00
_space_group_name_H-M_alt 'I m m m'
_space_group_IT_number 71
_space_group_name_Hall '-I 2 2'
loop_
_atom_site_label
_atom_site_type_symbol
_atom_site_fract_x
_atom_site_fract_y
_atom_site_fract_z
Y1 Y 0.000 0.000 0.000
Co1 Co 0.000 0.287 0.500
Co2 Co 0.000 0.359 0.000
Co3 Co 0.000 0.500 0.279
Co4 Co 0.250 0.250 0.250
Mo1 Mo 0.000 0.000 0.358